1.
An optimized crystal structure of RbMnBr3. Source: the Materials Project, functional PBE-GGA.

Lattice parameters (Å, degrees): 7.642 7.642 6.557 90.00 90.00 120.00
Fractional positions:
Rb: 0.333 0.667 0.250
Rb: 0.667 0.333 0.750
Mn: 0.000 0.000 0.000
Mn: 0.000 0.000 0.500
Br: 0.162 0.324 0.750
Br: 0.162 0.838 0.750
Br: 0.324 0.162 0.250
Br: 0.676 0.838 0.750
Br: 0.838 0.162 0.250
Br: 0.838 0.676 0.250

---

2.
An optimized crystal structure of RbMnBr3. Source: the Materials Project, functional PBE-GGA.

Lattice parameters (Å, degrees): 13.189 13.189 6.609 90.00 90.00 120.00
Fractional positions:
Rb: 0.000 0.334 0.000
Rb: 0.000 0.666 0.500
Rb: 0.334 0.000 0.000
Rb: 0.334 0.334 0.500
Rb: 0.666 0.000 0.500
Rb: 0.666 0.666 0.000
Mn: 0.000 0.000 0.201
Mn: 0.000 0.000 0.701
Mn: 0.333 0.667 0.308
Mn: 0.333 0.667 0.808
Mn: 0.667 0.333 0.308
Mn: 0.667 0.333 0.808
Br: 0.000 0.162 0.449
Br: 0.000 0.838 0.949
Br: 0.162 0.000 0.449
Br: 0.162 0.162 0.949
Br: 0.172 0.505 0.561
Br: 0.172 0.667 0.061
Br: 0.333 0.505 0.061
Br: 0.333 0.828 0.561
Br: 0.495 0.667 0.561
Br: 0.495 0.828 0.061
Br: 0.505 0.172 0.561
Br: 0.505 0.333 0.061
Br: 0.667 0.172 0.061
Br: 0.667 0.495 0.561
Br: 0.828 0.333 0.561
Br: 0.828 0.495 0.061
Br: 0.838 0.000 0.949
Br: 0.838 0.838 0.449

---

3.
An optimized crystal structure of Rb8Zr6MnBr20. Source: the Materials Project, functional PBE-GGA.

Lattice parameters (Å, degrees): 12.084 12.084 12.084 60.00 60.00 60.00
Fractional positions:
Rb: 0.140 0.140 0.140
Rb: 0.140 0.140 0.579
Rb: 0.140 0.579 0.140
Rb: 0.421 0.860 0.860
Rb: 0.579 0.140 0.140
Rb: 0.860 0.421 0.860
Rb: 0.860 0.860 0.421
Rb: 0.860 0.860 0.860
Zr: 0.357 0.357 0.643
Zr: 0.357 0.643 0.357
Zr: 0.357 0.643 0.643
Zr: 0.643 0.357 0.357
Zr: 0.643 0.357 0.643
Zr: 0.643 0.643 0.357
Mn: 0.500 0.500 0.500
Br: 0.177 0.500 0.500
Br: 0.177 0.500 0.823
Br: 0.177 0.823 0.500
Br: 0.185 0.185 0.815
Br: 0.185 0.815 0.185
Br: 0.185 0.815 0.815
Br: 0.250 0.250 0.250
Br: 0.500 0.177 0.500
Br: 0.500 0.177 0.823
Br: 0.500 0.500 0.177
Br: 0.500 0.500 0.823
Br: 0.500 0.823 0.177
Br: 0.500 0.823 0.500
Br: 0.750 0.750 0.750
Br: 0.815 0.185 0.185
Br: 0.815 0.185 0.815
Br: 0.815 0.815 0.185
Br: 0.823 0.177 0.500
Br: 0.823 0.500 0.177
Br: 0.823 0.500 0.500

Summary:
- total moment (μB/atom) = 0.029

---

| no. | DFT total energy (hartree per atom) |
| --- | --- |
| 1 | -0.1552 |
| 2 | -0.1552 |
| 3 | -0.1617 |